No. 1
Compound: CoAsSe
Source: the Materials Project
Functional: PBE-GGA
Structure: relaxed

Lattice parameters (Å, degrees): 5.772 5.772 5.772 90.00 90.00 90.00
Fractional coordinates of all 12 atoms:
As: 0.124 0.876 0.376
Se: 0.623 0.877 0.123
Co: 0.498 0.998 0.502
Se: 0.123 0.623 0.877
Co: 0.998 0.502 0.498
Co: 0.502 0.498 0.998
As: 0.876 0.376 0.124
Se: 0.377 0.377 0.377
Se: 0.877 0.123 0.623
As: 0.624 0.624 0.624
Co: 0.002 0.002 0.002
As: 0.376 0.124 0.876

Properties
DFT formation energy	-0.52	eV/atom
E_tot	-5.45	eV per atom
magnetic moment	0.0	μB/cell

=====

No. 2
Compound: Ba3Ce2C5O15F2
Source: the Materials Project
Functional: PBE-GGA
Structure: relaxed

Lattice parameters (Å, degrees): 5.326 13.968 21.210 94.95 90.00 90.00
Fractional coordinates of all 108 atoms:
O: 0.003 0.117 0.490
Ce: 0.997 0.683 0.900
Ba: 0.479 0.596 0.685
C: 0.499 0.404 0.160
O: 0.199 0.780 0.711
O: 0.706 0.842 0.921
O: 0.788 0.582 0.311
Ce: 0.504 0.685 0.399
O: 0.214 0.411 0.692
O: 0.214 0.589 0.308
Ba: 0.495 0.095 0.192
O: 0.283 0.849 0.923
O: 0.297 0.057 0.381
O: 0.709 0.576 0.811
O: 0.788 0.685 0.013
O: 0.793 0.163 0.579
O: 0.013 0.224 0.194
Ba: 0.479 0.404 0.315
C: 0.999 0.956 0.149
C: 0.499 0.779 0.247
O: 0.784 0.062 0.878
O: 0.294 0.313 0.490
O: 0.207 0.065 0.881
O: 0.784 0.938 0.122
C: 0.501 0.039 0.348
O: 0.492 0.007 0.707
C: 0.499 0.596 0.840
O: 0.788 0.418 0.689
O: 0.209 0.681 0.015
O: 0.283 0.151 0.077
C: 0.499 0.221 0.753
F: 0.007 0.381 0.379
Ba: 0.999 0.407 0.813
O: 0.786 0.758 0.716
C: 0.002 0.601 0.338
Ba: 0.989 0.897 0.307
Ba: 0.009 0.500 0.500
C: 0.498 0.857 0.952
O: 0.793 0.837 0.421
O: 0.720 0.063 0.373
O: 0.005 0.365 0.603
O: 0.504 0.887 0.012
O: 0.786 0.242 0.284
C: 0.498 0.143 0.048
O: 0.297 0.943 0.619
O: 0.994 0.272 0.897
C: 0.999 0.230 0.255
F: 0.494 0.516 0.426
O: 0.006 0.998 0.795
F: 0.990 0.521 0.926
C: 0.002 0.399 0.662
O: 0.502 0.258 0.401
C: 0.997 0.304 0.956
Ba: 0.999 0.593 0.187
O: 0.215 0.840 0.421
Ba: 0.998 0.000 0.000
Ba: 0.518 0.500 0.000
Ba: 0.989 0.103 0.693
O: 0.286 0.587 0.811
Ce: 0.997 0.317 0.100
O: 0.294 0.687 0.510
C: 0.999 0.044 0.851
Ba: 0.481 0.000 0.500
C: 0.502 0.293 0.460
O: 0.704 0.219 0.787
O: 0.006 0.002 0.205
O: 0.510 0.785 0.308
F: 0.487 0.613 0.128
C: 0.502 0.707 0.540
C: 0.501 0.961 0.652
F: 0.990 0.479 0.074
O: 0.788 0.315 0.987
O: 0.013 0.776 0.806
O: 0.709 0.424 0.189
O: 0.502 0.742 0.599
Ce: 0.504 0.315 0.601
F: 0.007 0.619 0.621
C: 0.999 0.770 0.745
O: 0.504 0.113 0.988
O: 0.510 0.215 0.692
O: 0.005 0.635 0.397
O: 0.199 0.220 0.289
O: 0.207 0.935 0.119
O: 0.003 0.883 0.510
F: 0.487 0.387 0.872
Ce: 0.495 0.215 0.894
Ce: 0.992 0.210 0.395
O: 0.720 0.937 0.627
O: 0.706 0.158 0.079
C: 0.003 0.148 0.549
O: 0.713 0.302 0.490
O: 0.994 0.728 0.103
F: 0.494 0.484 0.574
Ce: 0.495 0.785 0.106
Ba: 0.495 0.905 0.808
O: 0.713 0.698 0.510
O: 0.500 0.368 0.101
O: 0.286 0.413 0.189
Ce: 0.992 0.790 0.605
O: 0.500 0.632 0.899
O: 0.286 0.774 0.217
O: 0.704 0.781 0.213
O: 0.215 0.160 0.579
O: 0.286 0.226 0.783
O: 0.492 0.993 0.293
C: 0.003 0.852 0.451
O: 0.209 0.319 0.985
C: 0.997 0.696 0.044

Properties
E above lowest polymorph	28	meV per atom
DFT formation energy	-2.82	eV/atom
E_tot	-7.65	eV per atom
magnetic moment	5.5	μB/cell

=====

Question: Look up the DFT formation energy of the first one.
Answer: -0.52 eV/atom